Na3ZrF8 | PBE-GGA | optimized geometry

Properties
Crystal system: tetragonal
DFT total energy (eV/cell): -125.145

Cell lengths 5.413, 5.413, 10.849 Å; angles 90.00, 90.00, 90.00 degrees
Space group I4/mmm (No. 139)
Unique sites:
Na1 0.000 0.000 0.000 [2 per cell]
Na2 0.000 0.500 0.250 [4 per cell]
Zr1 0.000 0.000 0.500 [2 per cell]
F1 0.230 0.230 0.385 [16 per cell]

BaNbTc2 | PBE-GGA | optimized geometry

Properties
Crystal system: cubic
DFT total energy (eV/cell): -115.689

Cell lengths 6.811, 6.811, 6.811 Å; angles 90.00, 90.00, 90.00 degrees
Space group Fm-3m (No. 225)
Unique sites:
Ba1 0.000 0.000 0.000 [4 per cell]
Nb1 0.000 0.000 0.500 [4 per cell]
Tc1 0.250 0.250 0.250 [8 per cell]

LiMg14Cd | PBE-GGA | optimized geometry

Properties
Crystal system: orthorhombic
Distance to the lowest polymorph of the same formula (eV per formula unit): 0.000

Cell lengths 10.298, 6.376, 11.028 Å; angles 90.00, 90.00, 90.00 degrees
Space group Amm2 (No. 38)
Unique sites:
Li1 0.000 0.000 0.000 [2 per cell]
Mg1 0.000 0.247 0.248 [4 per cell]
Mg2 0.247 0.249 0.917 [8 per cell]
Mg3 0.248 0.000 0.665 [4 per cell]
Mg4 0.251 0.000 0.166 [4 per cell]
Mg5 0.500 0.000 0.498 [2 per cell]
Mg6 0.500 0.000 0.999 [2 per cell]
Mg7 0.500 0.250 0.249 [4 per cell]
Cd1 0.000 0.000 0.499 [2 per cell]

CdCu6O8 | PBE-GGA | optimized geometry

Properties
Crystal system: cubic
DFT total energy (eV/cell): -298.115

Cell lengths 9.262, 9.262, 9.262 Å; angles 90.00, 90.00, 90.00 degrees
Space group Fm-3m (No. 225)
Unique sites:
Cd1 0.000 0.000 0.000 [4 per cell]
Cu1 0.000 0.250 0.250 [24 per cell]
O1 0.145 0.145 0.145 [32 per cell]

NdMg2Ni9 | PBE-GGA | optimized geometry

Properties
Crystal system: trigonal
DFT total energy (eV/cell): -188.854

Cell lengths 4.8841, 4.8841, 23.5514 Å; angles 90.00, 90.00, 120.00 degrees
Space group R-3m (No. 166, hexagonal axes)
Unique sites:
Nd1 0.0000 0.0000 0.0000 [3 per cell]
Mg1 0.0000 0.0000 0.1445 [6 per cell]
Ni1 0.0000 0.0000 0.3334 [6 per cell]
Ni2 0.0000 0.0000 0.5000 [3 per cell]
Ni3 0.0024 0.5012 0.9148 [18 per cell]

Na3V6N11 | PBE-GGA | optimized geometry

Properties
Crystal system: tetragonal
DFT total energy (eV/cell): -326.319

Cell lengths 10.569, 10.569, 5.179 Å; angles 90.00, 90.00, 90.00 degrees
Space group P4bm (No. 100)
Unique sites:
Na1 0.000 0.000 0.000 [2 per cell]
Na2 0.176 0.324 0.996 [4 per cell]
V1 0.075 0.788 0.544 [8 per cell]
V2 0.119 0.619 0.063 [4 per cell]
N1 0.000 0.500 0.097 [2 per cell]
N2 0.072 0.767 0.199 [8 per cell]
N3 0.083 0.176 0.635 [8 per cell]
N4 0.145 0.645 0.708 [4 per cell]